Density functional theory data (PBE-GGA) for a geometry-optimized Li6HoB3O9 structure.

Lattice parameters (Å, degrees): 7.2442 16.5098 6.7021 90.00 105.34 90.00
Fractional coordinates of all 76 atoms:
Li: 0.0461 0.0301 0.1700
Li: 0.0461 0.4699 0.6700
Li: 0.0627 0.7049 0.0455
Li: 0.0627 0.7951 0.5455
Li: 0.1937 0.5352 0.0559
Li: 0.1937 0.9648 0.5559
Li: 0.2152 0.2059 0.8651
Li: 0.2152 0.2941 0.3651
Li: 0.3633 0.0532 0.9136
Li: 0.3633 0.4468 0.4136
Li: 0.4284 0.0044 0.3238
Li: 0.4284 0.4956 0.8238
Li: 0.5716 0.5044 0.1762
Li: 0.5716 0.9956 0.6762
Li: 0.6367 0.5532 0.5864
Li: 0.6367 0.9468 0.0864
Li: 0.7848 0.7059 0.6349
Li: 0.7848 0.7941 0.1349
Li: 0.8063 0.0352 0.4441
Li: 0.8063 0.4648 0.9441
Li: 0.9373 0.2049 0.4545
Li: 0.9373 0.2951 0.9545
Li: 0.9539 0.5301 0.3300
Li: 0.9539 0.9699 0.8300
Ho: 0.4205 0.6900 0.8472
Ho: 0.4205 0.8100 0.3472
Ho: 0.5795 0.1900 0.6528
Ho: 0.5795 0.3100 0.1528
B: 0.0615 0.6156 0.6899
B: 0.0615 0.8844 0.1899
B: 0.2146 0.1211 0.5013
B: 0.2146 0.3789 0.0013
B: 0.4163 0.6360 0.3384
B: 0.4163 0.8640 0.8384
B: 0.5837 0.1360 0.1616
B: 0.5837 0.3640 0.6616
B: 0.7854 0.6211 0.9987
B: 0.7854 0.8789 0.4987
B: 0.9385 0.1156 0.8101
B: 0.9385 0.3844 0.3101
O: 0.0376 0.0887 0.4139
O: 0.0376 0.4113 0.9139
O: 0.0803 0.6984 0.7296
O: 0.0803 0.8016 0.2296
O: 0.1051 0.0791 0.9225
O: 0.1051 0.4209 0.4225
O: 0.2247 0.5690 0.7715
O: 0.2247 0.9310 0.2715
O: 0.2412 0.2027 0.5583
O: 0.2412 0.2973 0.0583
O: 0.3562 0.6859 0.1657
O: 0.3562 0.8141 0.6657
O: 0.3808 0.0744 0.5435
O: 0.3808 0.4256 0.0435
O: 0.4118 0.5536 0.3241
O: 0.4118 0.9464 0.8241
O: 0.4909 0.6744 0.5285
O: 0.4909 0.8256 0.0285
O: 0.5091 0.1744 0.9715
O: 0.5091 0.3256 0.4715
O: 0.5882 0.0536 0.1759
O: 0.5882 0.4464 0.6759
O: 0.6192 0.5744 0.9565
O: 0.6192 0.9256 0.4565
O: 0.6438 0.1859 0.3343
O: 0.6438 0.3141 0.8343
O: 0.7588 0.7027 0.9417
O: 0.7588 0.7973 0.4417
O: 0.7753 0.0690 0.7285
O: 0.7753 0.4310 0.2285
O: 0.8949 0.5791 0.5775
O: 0.8949 0.9209 0.0775
O: 0.9197 0.1984 0.7704
O: 0.9197 0.3016 0.2704
O: 0.9624 0.5887 0.0861
O: 0.9624 0.9113 0.5861

Output
DFT formation energy: -2823 meV per atom
space-group type: P2_1/c, No. 14
final energy: -6.74 eV/atom

Density functional theory data (PBE-GGA) for a geometry-optimized CaH16O10 structure.

Lattice parameters (Å, degrees): 6.2077 6.3502 10.8366 92.33 91.68 90.81
Fractional coordinates of all 54 atoms:
Ca: 0.0000 0.0000 0.0000
Ca: 0.0143 0.0345 0.4844
H: 0.0182 0.5448 0.3786
H: 0.0289 0.4286 0.8914
H: 0.0335 0.4934 0.6284
H: 0.1212 0.7038 0.2257
H: 0.1285 0.3304 0.7233
H: 0.2608 0.6298 0.3978
H: 0.2611 0.6405 0.1093
H: 0.2792 0.3745 0.8938
H: 0.2914 0.9112 0.7773
H: 0.3087 0.1393 0.2246
H: 0.3439 0.8049 0.5971
H: 0.3527 0.4516 0.5913
H: 0.3537 0.2742 0.1050
H: 0.3632 0.7490 0.8852
H: 0.3960 0.2809 0.3943
H: 0.4656 0.0371 0.3830
H: 0.5080 0.0468 0.6222
H: 0.5519 0.9910 0.1193
H: 0.5569 0.0307 0.8841
H: 0.6229 0.7298 0.3943
H: 0.6229 0.7549 0.0952
H: 0.6447 0.2686 0.6025
H: 0.6472 0.4258 0.0723
H: 0.6990 0.8715 0.2831
H: 0.7008 0.1356 0.7865
H: 0.7091 0.6566 0.6116
H: 0.7199 0.5921 0.8935
H: 0.7540 0.3683 0.3904
H: 0.7965 0.8758 0.6633
H: 0.8731 0.3136 0.2289
H: 0.8827 0.6712 0.7958
H: 0.9613 0.4521 0.1210
O: 0.1117 0.6834 0.3781
O: 0.1197 0.6949 0.1319
O: 0.1246 0.3686 0.6331
O: 0.1292 0.3065 0.8784
O: 0.3007 0.8924 0.8705
O: 0.3096 0.9477 0.6266
O: 0.3141 0.1321 0.1305
O: 0.3384 0.1314 0.3722
O: 0.4839 0.5233 0.9185
O: 0.4880 0.5080 0.4292
O: 0.5009 0.5056 0.5657
O: 0.5101 0.5116 0.0548
O: 0.6732 0.1222 0.6246
O: 0.6801 0.8968 0.1238
O: 0.6827 0.8728 0.3746
O: 0.7024 0.0940 0.8742
O: 0.8452 0.7331 0.6395
O: 0.8653 0.3279 0.1311
O: 0.8773 0.6419 0.8847
O: 0.8987 0.3238 0.3680

Output
DFT formation energy: -1365 meV per atom
relative energy among the computed polymorphs: 0.0304 eV per atom
space-group type: P1, No. 1
final energy: -5.03 eV/atom

Density functional theory data (PBE-GGA) for a geometry-optimized CoN structure.

Lattice parameters (Å, degrees): 3.0098 3.0098 3.0098 60.00 60.00 60.00
Fractional coordinates of all 2 atoms:
Co: 0.0000 0.0000 0.0000
N: 0.2500 0.2500 0.2500

Output
DFT formation energy: -74 meV per atom
relative energy among the computed polymorphs: 0.0000 eV per atom
space-group type: F-43m, No. 216
final energy: -7.62 eV/atom

Density functional theory data (PBE-GGA) for a geometry-optimized Pr12Co6Pb structure.

Lattice parameters (Å, degrees): 8.8330 8.8330 8.8330 109.47 109.47 109.47
Fractional coordinates of all 19 atoms:
Pr: 0.1203 0.8112 0.3092
Pr: 0.1888 0.3092 0.4980
Pr: 0.1888 0.6908 0.8797
Pr: 0.3092 0.1203 0.8112
Pr: 0.3092 0.4980 0.1888
Pr: 0.4980 0.1888 0.3092
Pr: 0.5020 0.8112 0.6908
Pr: 0.6908 0.5020 0.8112
Pr: 0.6908 0.8797 0.1888
Pr: 0.8112 0.3092 0.1203
Pr: 0.8112 0.6908 0.5020
Pr: 0.8797 0.1888 0.6908
Co: 0.1111 0.6111 0.5000
Co: 0.3889 0.5000 0.8889
Co: 0.5000 0.1111 0.6111
Co: 0.5000 0.8889 0.3889
Co: 0.6111 0.5000 0.1111
Co: 0.8889 0.3889 0.5000
Pb: 0.0000 0.0000 0.0000

Output
DFT formation energy: -133 meV per atom
space-group type: Im-3, No. 204
final energy: -5.59 eV/atom

Density functional theory data (PBE-GGA) for a geometry-optimized CrN2 structure.

Lattice parameters (Å, degrees): 3.9614 3.9614 7.7636 90.00 90.00 120.00
Fractional coordinates of all 9 atoms:
Cr: 0.0000 0.5000 0.1667
Cr: 0.5000 0.0000 0.5000
Cr: 0.5000 0.5000 0.8333
N: 0.1873 0.5937 0.6667
N: 0.4063 0.5937 0.3333
N: 0.4063 0.8127 0.0000
N: 0.5937 0.1873 0.0000
N: 0.5937 0.4063 0.3333
N: 0.8127 0.4063 0.6667

Output
DFT formation energy: 106 meV per atom
space-group type: P6_222, No. 180
final energy: -8.43 eV/atom

Density functional theory data (PBE-GGA) for a geometry-optimized InO structure.

Lattice parameters (Å, degrees): 3.6898 3.6898 6.0861 90.00 90.00 120.00
Fractional coordinates of all 4 atoms:
In: 0.3333 0.6667 0.0000
In: 0.6667 0.3333 0.5000
O: 0.3333 0.6667 0.3735
O: 0.6667 0.3333 0.8735

Output
DFT formation energy: -1355 meV per atom
space-group type: P6_3mc, No. 186
final energy: -4.86 eV/atom

Density functional theory data (PBE-GGA) for a geometry-optimized MgAl4H12O12 structure.

Lattice parameters (Å, degrees): 5.0474 7.3642 7.5306 73.23 75.21 76.45
Fractional coordinates of all 29 atoms:
Mg: 0.0000 0.0000 0.0000
Al: 0.0499 0.7013 0.7789
Al: 0.0926 0.4186 0.1430
Al: 0.5617 0.8778 0.6098
Al: 0.5770 0.2475 0.3188
H: 0.0643 0.0572 0.6343
H: 0.0649 0.7795 0.4297
H: 0.0925 0.0822 0.2990
H: 0.1263 0.4457 0.4689
H: 0.3528 0.6860 0.0032
H: 0.5274 0.2036 0.0146
H: 0.5306 0.5247 0.7129
H: 0.5489 0.9436 0.2476
H: 0.6063 0.1809 0.6771
H: 0.6300 0.9009 0.9262
H: 0.6568 0.5628 0.3473
H: 0.8170 0.4235 0.9252
O: 0.0093 0.4471 0.8991
O: 0.1493 0.6845 0.0316
O: 0.1658 0.9567 0.7227
O: 0.2052 0.3653 0.3795
O: 0.4217 0.6439 0.6530
O: 0.4771 0.3201 0.0733
O: 0.4823 0.9923 0.3662
O: 0.6488 0.1292 0.5641
O: 0.6660 0.7965 0.8505
O: 0.7194 0.4768 0.2626
O: 0.9318 0.7419 0.5462
O: 0.9780 0.1569 0.2049

Output
DFT formation energy: -1891 meV per atom
relative energy among the computed polymorphs: 0.1037 eV per atom
space-group type: P1, No. 1
final energy: -5.63 eV/atom

Density functional theory data (PBE-GGA) for a geometry-optimized MoW2Se4S2 structure.

Lattice parameters (Å, degrees): 3.2769 3.2769 30.2277 90.00 90.00 120.00
Fractional coordinates of all 9 atoms:
Mo: 0.0000 0.0000 0.0000
W: 0.6667 0.3333 0.2313
W: 0.6667 0.3333 0.7687
Se: 0.0000 0.0000 0.1751
Se: 0.0000 0.0000 0.2876
Se: 0.0000 0.0000 0.7124
Se: 0.0000 0.0000 0.8249
S: 0.6667 0.3333 0.0509
S: 0.6667 0.3333 0.9491

Output
DFT formation energy: -760 meV per atom
relative energy among the computed polymorphs: 0.0222 eV per atom
space-group type: P-6m2, No. 187
final energy: -7.21 eV/atom

Density functional theory data (PBE-GGA) for a geometry-optimized LiMg6Cr structure.

Lattice parameters (Å, degrees): 5.0174 6.3061 10.7195 90.00 90.00 90.00
Fractional coordinates of all 16 atoms:
Li: 0.5000 0.0000 0.8339
Li: 0.5000 0.5000 0.3339
Mg: 0.5000 0.2508 0.5832
Mg: 0.5000 0.7492 0.5832
Mg: 0.0000 0.2456 0.4134
Mg: 0.0000 0.7544 0.4134
Mg: 0.0000 0.0000 0.6683
Mg: 0.0000 0.0000 0.1711
Mg: 0.5000 0.7508 0.0832
Mg: 0.5000 0.2492 0.0832
Mg: 0.0000 0.7456 0.9134
Mg: 0.0000 0.2544 0.9134
Mg: 0.0000 0.5000 0.1683
Mg: 0.0000 0.5000 0.6711
Cr: 0.5000 0.0000 0.3336
Cr: 0.5000 0.5000 0.8336

Output
DFT formation energy: 137 meV per atom
relative energy among the computed polymorphs: 0.0000 eV per atom
final energy: -2.51 eV/atom

Density functional theory data (PBE-GGA) for a geometry-optimized InH3I2O8 structure.

Lattice parameters (Å, degrees): 6.9673 7.8089 7.9124 99.51 109.22 92.03
Fractional coordinates of all 28 atoms:
In: 0.0000 0.0000 0.0000
In: 0.0000 0.5000 0.0000
H: 0.0151 0.2916 0.2338
H: 0.1502 0.4281 0.5505
H: 0.2045 0.2412 0.5024
H: 0.7955 0.7588 0.4976
H: 0.8498 0.5719 0.4495
H: 0.9849 0.7084 0.7662
I: 0.2901 0.8284 0.4196
I: 0.4681 0.2610 0.0276
I: 0.5319 0.7390 0.9724
I: 0.7099 0.1716 0.5804
O: 0.0373 0.7333 0.9024
O: 0.0899 0.3137 0.4760
O: 0.1300 0.9728 0.2836
O: 0.1881 0.6126 0.2787
O: 0.2832 0.4209 0.9455
O: 0.2948 0.0583 0.9684
O: 0.4709 0.6848 0.7289
O: 0.4752 0.1458 0.6342
O: 0.5248 0.8542 0.3658
O: 0.5291 0.3152 0.2711
O: 0.7052 0.9417 0.0316
O: 0.7168 0.5791 0.0545
O: 0.8119 0.3874 0.7213
O: 0.8700 0.0272 0.7164
O: 0.9101 0.6863 0.5240
O: 0.9627 0.2667 0.0976

Output
DFT formation energy: -1170 meV per atom
space-group type: P-1, No. 2
final energy: -4.75 eV/atom

Density functional theory data (PBE-GGA) for a geometry-optimized CeSiNi structure.

Lattice parameters (Å, degrees): 4.0748 4.0748 3.8712 90.00 90.00 120.00
Fractional coordinates of all 3 atoms:
Ce: 0.0000 0.0000 0.0000
Si: 0.6667 0.3333 0.5000
Ni: 0.3333 0.6667 0.5000

Output
DFT formation energy: -734 meV per atom
space-group type: P-6m2, No. 187
final energy: -6.45 eV/atom

Density functional theory data (PBE-GGA) for a geometry-optimized Eu2Si2O7 structure.

Lattice parameters (Å, degrees): 6.7205 6.8320 12.9275 90.00 108.60 90.00
Fractional coordinates of all 44 atoms:
Eu: 0.0318 0.1049 0.3627
Eu: 0.0318 0.3951 0.8627
Eu: 0.3436 0.1699 0.1527
Eu: 0.3436 0.3301 0.6527
Eu: 0.6564 0.6699 0.3473
Eu: 0.6564 0.8301 0.8473
Eu: 0.9682 0.6049 0.1373
Eu: 0.9682 0.8951 0.6373
Si: 0.2094 0.5824 0.3913
Si: 0.2094 0.9176 0.8913
Si: 0.3955 0.6707 0.0860
Si: 0.3955 0.8293 0.5860
Si: 0.6045 0.1707 0.4140
Si: 0.6045 0.3293 0.9140
Si: 0.7906 0.0824 0.1087
Si: 0.7906 0.4176 0.6087
O: 0.0041 0.7217 0.3339
O: 0.0041 0.7783 0.8339
O: 0.1598 0.1029 0.9580
O: 0.1598 0.3971 0.4580
O: 0.2268 0.0123 0.5511
O: 0.2268 0.4877 0.0511
O: 0.2940 0.6759 0.6529
O: 0.2940 0.8241 0.1529
O: 0.2986 0.5151 0.2925
O: 0.2986 0.9849 0.7925
O: 0.3741 0.0934 0.3411
O: 0.3741 0.4066 0.8411
O: 0.4030 0.7185 0.4723
O: 0.4030 0.7815 0.9723
O: 0.5970 0.2185 0.0277
O: 0.5970 0.2815 0.5277
O: 0.6259 0.5934 0.1589
O: 0.6259 0.9066 0.6589
O: 0.7014 0.0151 0.2075
O: 0.7014 0.4849 0.7075
O: 0.7060 0.1759 0.8471
O: 0.7060 0.3241 0.3471
O: 0.7732 0.5123 0.9489
O: 0.7732 0.9877 0.4489
O: 0.8402 0.6029 0.5420
O: 0.8402 0.8971 0.0420
O: 0.9959 0.2217 0.1661
O: 0.9959 0.2783 0.6661

Output
DFT formation energy: -3253 meV per atom
space-group type: P2_1/c, No. 14
final energy: -8.82 eV/atom

Density functional theory data (PBE-GGA) for a geometry-optimized LiEu3 structure.

Lattice parameters (Å, degrees): 7.5972 7.5972 6.2231 90.00 90.00 120.00
Fractional coordinates of all 8 atoms:
Li: 0.3333 0.6667 0.2500
Li: 0.6667 0.3333 0.7500
Eu: 0.1692 0.3384 0.7500
Eu: 0.1692 0.8308 0.7500
Eu: 0.3384 0.1692 0.2500
Eu: 0.6616 0.8308 0.7500
Eu: 0.8308 0.1692 0.2500
Eu: 0.8308 0.6616 0.2500

Output
DFT formation energy: 82 meV per atom
relative energy among the computed polymorphs: 0.0000 eV per atom
space-group type: P6_3/mmc, No. 194
final energy: -8.09 eV/atom

Density functional theory data (PBE-GGA) for a geometry-optimized LaPu3 structure.

Lattice parameters (Å, degrees): 6.0290 6.0290 6.0290 131.96 131.96 70.29
Fractional coordinates of all 4 atoms:
La: 0.0000 0.0000 0.0000
Pu: 0.2500 0.7500 0.5000
Pu: 0.5000 0.5000 0.0000
Pu: 0.7500 0.2500 0.5000

Output
DFT formation energy: 234 meV per atom
space-group type: I4/mmm, No. 139
final energy: -11.70 eV/atom

Density functional theory data (PBE-GGA) for a geometry-optimized KC2 structure.

Lattice parameters (Å, degrees): 4.6567 4.6567 4.6567 120.49 111.10 97.62
Fractional coordinates of all 3 atoms:
K: 0.0000 0.0000 0.0000
C: 0.3801 0.5000 0.8801
C: 0.6199 0.5000 0.1199

Output
DFT formation energy: 1309 meV per atom
relative energy among the computed polymorphs: 0.0240 eV per atom
space-group type: Immm, No. 71
final energy: -5.21 eV/atom